{
  "formula": "VP2C4N3Cl2F12",
  "functional": "GGA+U",
  "state": "optimized geometry",
  "cell": [[-3.579, -5.112, 5.895], [0.067, -8.521, -1.043], [9.985, -6.753, 8.565]],
  "species": ["C", "N", "F", "V", "Cl", "N", "F", "F", "P", "F", "F", "F", "F", "Cl", "F", "P", "Cl", "F", "C", "F", "F", "V", "F", "F", "N", "F", "F", "C", "F", "N", "C", "Cl", "C", "F", "F", "C", "N", "P", "P", "F", "N", "F", "F", "F", "C", "F", "F", "C"],
  "fractional_positions": [[0.748, 0.841, 0.391], [0.033, 0.967, 0.750], [0.590, 0.822, 0.410], [0.560, 0.440, 0.250], [0.552, 0.386, 0.882], [0.788, 0.413, 0.226], [0.894, 0.674, 0.386], [0.770, 0.959, 0.657], [0.225, 0.975, 0.731], [0.105, 0.261, 0.032], [0.739, 0.895, 0.468], [0.202, 0.946, 0.921], [0.880, 0.654, 0.691], [0.448, 0.614, 0.118], [0.346, 0.120, 0.809], [0.025, 0.775, 0.769], [0.386, 0.552, 0.382], [0.054, 0.798, 0.579], [0.924, 0.798, 0.668], [0.674, 0.894, 0.886], [0.120, 0.346, 0.309], [0.440, 0.560, 0.750], [0.178, 0.410, 0.090], [0.946, 0.202, 0.421], [0.967, 0.033, 0.250], [0.230, 0.041, 0.343], [0.895, 0.739, 0.968], [0.076, 0.202, 0.332], [0.654, 0.880, 0.191], [0.212, 0.587, 0.774], [0.252, 0.159, 0.609], [0.614, 0.448, 0.618], [0.202, 0.076, 0.832], [0.106, 0.326, 0.614], [0.959, 0.770, 0.157], [0.841, 0.748, 0.891], [0.413, 0.788, 0.726], [0.775, 0.025, 0.269], [0.975, 0.225, 0.231], [0.798, 0.054, 0.079], [0.587, 0.212, 0.274], [0.410, 0.178, 0.590], [0.041, 0.230, 0.843], [0.261, 0.105, 0.532], [0.159, 0.252, 0.109], [0.326, 0.106, 0.114], [0.822, 0.590, 0.910], [0.798, 0.924, 0.168]],
  "e_tot_ev_per_atom": -5.600,
  "energy_corrected_mp2020_ev_per_atom": -5.90,
  "m_tot_mub_per_atom": 0.00,
  "spacegroup": "No. 15",
  "ef_ev_per_atom": -1.380
}


{
  "formula": "MgV12Zn6O24",
  "functional": "GGA+U",
  "state": "optimized geometry",
  "cell": [[6.060, 0.018, -0.011], [3.046, 5.302, -0.168], [9.080, 4.874, 14.956]],
  "species": ["O", "O", "Zn", "O", "V", "Zn", "V", "O", "O", "V", "V", "Mg", "O", "O", "O", "O", "V", "Zn", "O", "Zn", "V", "O", "O", "Zn", "O", "V", "O", "O", "O", "O", "O", "O", "V", "Zn", "V", "V", "V", "O", "O", "O", "O", "O", "V"],
  "fractional_positions": [[0.745, 0.730, 0.429], [0.275, 0.751, 0.576], [0.866, 0.901, 0.621], [0.263, 0.704, 0.421], [0.475, 0.574, 0.822], [0.109, 0.166, 0.705], [0.529, 0.425, 0.173], [0.770, 0.682, 0.250], [0.770, 0.218, 0.250], [0.791, 0.993, 0.972], [0.499, 0.501, 0.499], [0.027, 0.453, 0.001], [0.724, 0.372, 0.896], [0.777, 0.209, 0.080], [0.241, 0.771, 0.744], [0.783, 0.655, 0.093], [0.491, 0.528, 0.662], [0.481, 0.583, 0.984], [0.286, 0.208, 0.078], [0.892, 0.822, 0.300], [0.518, 0.469, 0.334], [0.257, 0.301, 0.746], [0.305, 0.684, 0.248], [0.136, 0.102, 0.377], [0.278, 0.216, 0.244], [0.499, 0.002, 0.500], [0.716, 0.802, 0.755], [0.282, 0.636, 0.100], [0.727, 0.756, 0.579], [0.701, 0.312, 0.749], [0.226, 0.794, 0.912], [0.232, 0.341, 0.894], [0.477, 0.057, 0.831], [0.098, 0.974, 0.114], [0.031, 0.426, 0.173], [0.003, 0.500, 0.499], [0.979, 0.570, 0.823], [0.276, 0.246, 0.418], [0.725, 0.253, 0.421], [0.255, 0.270, 0.571], [0.741, 0.297, 0.576], [0.715, 0.818, 0.911], [0.530, 0.947, 0.167]],
  "e_tot_ev_per_atom": -6.926,
  "de_polymorph_ev_per_atom": 0.0000,
  "energy_corrected_mp2020_ev_per_atom": -7.78,
  "m_tot_mub_per_atom": 0.60,
  "spacegroup": "No. 1",
  "ef_ev_per_atom": -2.274
}


{
  "formula": "Li6FeO4F2",
  "functional": "GGA+U",
  "state": "optimized geometry",
  "cell": [[2.734, 4.765, -0.242], [-0.231, 3.276, 4.612], [5.780, -5.990, 5.077]],
  "species": ["Li", "O", "O", "Li", "Li", "F", "O", "Li", "O", "F", "Fe", "Li", "F", "Li", "O", "Li", "Li", "O", "Li", "Li", "F", "O", "Li", "Li", "Fe", "O"],
  "fractional_positions": [[0.279, 0.185, 0.748], [0.346, 0.481, 0.604], [0.898, 0.534, 0.670], [0.916, 0.170, 0.348], [0.916, 0.670, 0.848], [0.221, 0.052, 0.557], [0.654, 0.519, 0.396], [0.084, 0.830, 0.652], [0.102, 0.966, 0.830], [0.221, 0.552, 0.057], [0.000, 0.500, 0.500], [0.504, 0.207, 0.044], [0.779, 0.948, 0.443], [0.496, 0.293, 0.456], [0.898, 0.034, 0.170], [0.279, 0.686, 0.248], [0.084, 0.330, 0.152], [0.654, 0.019, 0.896], [0.504, 0.707, 0.544], [0.496, 0.793, 0.956], [0.779, 0.448, 0.943], [0.346, 0.981, 0.104], [0.721, 0.314, 0.752], [0.721, 0.815, 0.252], [0.000, 0.000, 0.000], [0.102, 0.466, 0.330]],
  "e_tot_ev_per_atom": -5.128,
  "energy_corrected_mp2020_ev_per_atom": -5.58,
  "m_tot_mub_per_atom": 0.00,
  "ef_ev_per_atom": -2.234
}


{
  "formula": "Eu2MnSbO7",
  "functional": "GGA+U",
  "state": "optimized geometry",
  "cell": [[-3.687, 3.699, 5.198], [3.687, -3.699, 5.198], [3.687, 3.699, -5.198]],
  "species": ["O", "O", "Eu", "Mn", "O", "O", "Sb", "O", "O", "O", "O", "Mn", "O", "O", "O", "Eu", "O", "Eu", "O", "O", "Sb", "Eu"],
  "fractional_positions": [[0.825, 0.076, 0.151], [0.424, 0.674, 0.349], [0.000, 0.000, 0.500], [0.500, 0.000, 0.000], [0.173, 0.923, 0.250], [0.175, 0.924, 0.849], [0.500, 0.000, 0.500], [0.424, 0.076, 0.751], [0.825, 0.674, 0.749], [0.425, 0.675, 0.750], [0.175, 0.326, 0.251], [0.500, 0.500, 0.500], [0.875, 0.625, 0.250], [0.125, 0.375, 0.750], [0.575, 0.325, 0.250], [0.500, 0.500, 0.000], [0.827, 0.077, 0.750], [0.000, 0.500, 0.500], [0.576, 0.326, 0.651], [0.576, 0.924, 0.249], [0.000, 0.000, 0.000], [0.000, 0.500, 0.000]],
  "e_tot_ev_per_atom": -8.258,
  "energy_corrected_mp2020_ev_per_atom": -8.85,
  "m_tot_mub_per_atom": 1.45,
  "spacegroup": "No. 74",
  "ef_ev_per_atom": -2.625
}


{
  "formula": "MgCo6O10F2",
  "functional": "GGA+U",
  "state": "optimized geometry",
  "cell": [[-0.334, -3.730, -3.212], [11.478, 5.965, -5.279], [1.634, -1.624, 1.716]],
  "species": ["Mg", "O", "Co", "Co", "O", "O", "O", "O", "O", "Co", "Co", "O", "O", "Co", "F", "O", "O", "Co", "F"],
  "fractional_positions": [[0.420, 0.320, 0.000], [0.238, 0.603, 0.500], [0.468, 0.852, 0.500], [0.024, 0.993, 0.000], [0.331, 0.775, 0.000], [0.697, 0.564, 0.000], [0.684, 0.906, 0.000], [0.366, 0.078, 0.000], [0.884, 0.060, 0.500], [0.925, 0.369, 0.000], [0.043, 0.658, 0.000], [0.170, 0.928, 0.500], [0.683, 0.224, 0.000], [0.581, 0.133, 0.500], [0.161, 0.280, 0.500], [0.272, 0.449, 0.000], [0.669, 0.396, 0.500], [0.480, 0.513, 0.500], [0.863, 0.724, 0.500]],
  "e_tot_ev_per_atom": -5.582,
  "de_polymorph_ev_per_atom": 0.0166,
  "energy_corrected_mp2020_ev_per_atom": -6.51,
  "m_tot_mub_per_atom": 0.79,
  "spacegroup": "No. 6",
  "ef_ev_per_atom": -1.375
}


{
  "formula": "LiVSiO4",
  "functional": "GGA+U",
  "state": "optimized geometry",
  "cell": [[5.215, -0.001, 0.000], [-0.001, 9.026, 0.002], [0.001, 0.001, 9.606]],
  "species": ["Li", "O", "Si", "Li", "Si", "O", "O", "O", "O", "O", "Li", "O", "V", "Si", "O", "Li", "V", "O", "O", "O", "O", "V", "V", "O", "O", "O", "Si", "O"],
  "fractional_positions": [[0.000, 0.000, 0.731], [0.657, 0.313, 0.202], [0.500, 0.167, 0.260], [0.500, 0.500, 0.731], [0.000, 0.333, 0.760], [0.858, 0.485, 0.703], [0.001, 0.334, 0.929], [0.142, 0.515, 0.203], [0.157, 0.813, 0.202], [0.842, 0.187, 0.703], [0.500, 0.500, 0.231], [0.202, 0.172, 0.202], [0.500, 0.833, 0.123], [0.000, 0.667, 0.260], [0.501, 0.166, 0.429], [0.000, 0.000, 0.231], [0.500, 0.167, 0.623], [0.642, 0.015, 0.203], [0.342, 0.687, 0.703], [0.798, 0.828, 0.702], [0.702, 0.672, 0.202], [0.000, 0.667, 0.623], [0.000, 0.333, 0.123], [0.298, 0.328, 0.702], [0.501, 0.834, 0.929], [0.358, 0.985, 0.703], [0.500, 0.833, 0.760], [0.001, 0.666, 0.429]],
  "e_tot_ev_per_atom": -7.300,
  "de_polymorph_ev_per_atom": 0.0769,
  "energy_corrected_mp2020_ev_per_atom": -7.94,
  "m_tot_mub_per_atom": 0.00,
  "ef_ev_per_atom": -2.762
}